A relaxed structure of In3Ge. Source: the Materials Project, functional GGA-PBE.

Unit cell a=6.669 b=6.669 c=5.298 alpha=90.00 beta=90.00 gamma=120.00
Fractional positions:
In (0.657, 0.829, 0.250)
In (0.343, 0.171, 0.750)
In (0.829, 0.171, 0.750)
In (0.829, 0.657, 0.750)
In (0.171, 0.829, 0.250)
In (0.171, 0.343, 0.250)
Ge (0.667, 0.333, 0.250)
Ge (0.333, 0.667, 0.750)

**Raw total energy**: -3.078 eV/atom
**Total moment**: 0.0 μB per cell
**Energy of formation from the pure elements**: 3.3 kcal/mol of atoms
**Mass density**: 6.8 Mg/m³